1.
Compound: LiMg
Source: the Materials Project
Functional: meta-GGA r2SCAN
Structure: relaxed

abc: 3.1362 3.1362 10.1172
angles: 90.00 90.00 120.00
Space group P-3m1 (No. 164)
Unique sites:
Li (0.3333, 0.6667, 0.3756) (multiplicity 2)
Mg (0.3333, 0.6667, 0.8708) (multiplicity 2)

Output
- Formation energy from the elements: -0.009 eV per atom
- Total magnetization: 0.000 μB per cell

---

2.
Compound: Li3Mg
Source: the Materials Project
Functional: meta-GGA r2SCAN
Structure: relaxed

abc: 4.303 4.303 4.303
angles: 90.00 90.00 90.00
Space group Pm-3m (No. 221)
Unique sites:
Li (0.000, 0.000, 0.500) (multiplicity 3)
Mg (0.500, 0.500, 0.500) (multiplicity 1)

Output
- Formation energy from the elements: -0.011 eV per atom
- Total magnetization: 0.011 μB per cell

---

3.
Compound: Li3Mg
Source: the Materials Project
Functional: meta-GGA r2SCAN
Structure: relaxed

abc: 6.0910 6.0910 5.0115
angles: 90.00 90.00 120.00
Space group P6_3/mmc (No. 194)
Unique sites:
Li (0.1668, 0.3336, 0.2500) (multiplicity 6)
Mg (0.3333, 0.6667, 0.7500) (multiplicity 2)

Output
- Formation energy from the elements: -0.016 eV per atom
- Total magnetization: 0.537 μB per cell

---

4.
Compound: LiMg
Source: the Materials Project
Functional: meta-GGA r2SCAN
Structure: relaxed

abc: 5.051 3.145 15.936
angles: 90.00 90.00 90.00
Space group Amm2 (No. 38)
Unique sites:
Li (0.000, 0.000, 0.000) (multiplicity 2)
Li (0.000, 0.000, 0.335) (multiplicity 2)
Li (0.500, 0.000, 0.554) (multiplicity 2)
Mg (0.000, 0.000, 0.666) (multiplicity 2)
Mg (0.500, 0.000, 0.221) (multiplicity 2)
Mg (0.500, 0.000, 0.890) (multiplicity 2)

Output
- Formation energy from the elements: -0.022 eV per atom
- Total magnetization: 0.000 μB per cell

---

5.
Compound: LiMg
Source: the Materials Project
Functional: meta-GGA r2SCAN
Structure: relaxed

abc: 5.018 9.279 5.387
angles: 90.00 90.00 90.00
Space group Amm2 (No. 38)
Unique sites:
Li (0.000, 0.000, 0.000) (multiplicity 2)
Li (0.500, 0.167, 0.167) (multiplicity 4)
Mg (0.000, 0.169, 0.496) (multiplicity 4)
Mg (0.500, 0.000, 0.672) (multiplicity 2)

Output
- Formation energy from the elements: -0.028 eV per atom
- Total magnetization: 0.000 μB per cell

---

6.
Compound: LiMg
Source: the Materials Project
Functional: meta-GGA r2SCAN
Structure: relaxed

abc: 3.1359 3.1359 15.1983
angles: 90.00 90.00 120.00
Space group P-6m2 (No. 187)
Unique sites:
Li (0.0000, 0.0000, 0.0000) (multiplicity 1)
Li (0.3333, 0.6667, 0.1660) (multiplicity 2)
Mg (0.0000, 0.0000, 0.3293) (multiplicity 2)
Mg (0.3333, 0.6667, 0.5000) (multiplicity 1)

Output
- Formation energy from the elements: -0.008 eV per atom
- Total magnetization: 0.007 μB per cell

---

7.
Compound: Li3Mg
Source: the Materials Project
Functional: meta-GGA r2SCAN
Structure: relaxed

abc: 6.858 6.858 6.858
angles: 90.00 90.00 90.00
Space group Fm-3m (No. 225)
Unique sites:
Li (0.000, 0.000, 0.000) (multiplicity 4)
Li (0.250, 0.250, 0.250) (multiplicity 8)
Mg (0.000, 0.000, 0.500) (multiplicity 4)

Output
- Formation energy from the elements: -0.016 eV per atom
- Total magnetization: 0.000 μB per cell

---

8.
Compound: LiMg149
Source: the Materials Project
Functional: meta-GGA r2SCAN
Structure: relaxed

abc: 15.8621 15.8621 15.4079
angles: 90.00 90.00 120.00
Space group P-6m2 (No. 187)
Unique sites:
Li (0.0000, 0.0000, 0.0000) (multiplicity 1)
Mg (0.0000, 0.0000, 0.3322) (multiplicity 2)
Mg (0.0000, 0.1987, 0.0000) (multiplicity 6)
Mg (0.0005, 0.1997, 0.3332) (multiplicity 12)
Mg (0.0000, 0.3995, 0.0000) (multiplicity 6)
Mg (0.0000, 0.4000, 0.3338) (multiplicity 12)
Mg (0.0666, 0.1331, 0.1658) (multiplicity 6)
Mg (0.0665, 0.1331, 0.5000) (multiplicity 3)
Mg (0.0667, 0.3333, 0.1664) (multiplicity 12)
Mg (0.0666, 0.3331, 0.5000) (multiplicity 6)
Mg (0.0667, 0.5333, 0.1665) (multiplicity 6)
Mg (0.0666, 0.5333, 0.5000) (multiplicity 3)
Mg (0.1998, 0.3995, 0.0000) (multiplicity 3)
Mg (0.2000, 0.4000, 0.3337) (multiplicity 6)
Mg (0.2000, 0.6000, 0.0000) (multiplicity 3)
Mg (0.2000, 0.6000, 0.3337) (multiplicity 6)
Mg (0.2665, 0.1332, 0.5000) (multiplicity 3)
Mg (0.2667, 0.1333, 0.1664) (multiplicity 6)
Mg (0.2667, 0.5333, 0.1665) (multiplicity 6)
Mg (0.2667, 0.5333, 0.5000) (multiplicity 3)
Mg (0.3996, 0.1998, 0.0000) (multiplicity 3)
Mg (0.3999, 0.1999, 0.3337) (multiplicity 6)
Mg (0.4667, 0.1334, 0.1665) (multiplicity 12)
Mg (0.4667, 0.1334, 0.5000) (multiplicity 6)
Mg (0.5999, 0.1999, 0.0000) (multiplicity 3)
Mg (0.6000, 0.2000, 0.3337) (multiplicity 6)
Mg (0.6667, 0.3333, 0.1665) (multiplicity 2)
Mg (0.6667, 0.3333, 0.5000) (multiplicity 1)

Output
- Formation energy from the elements: 0.007 eV per atom
- Total magnetization: 0.000 μB per cell

---

total magnetization of number 5 (LiMg)?
0.000 μB per cell